DFT (PBE) results for crystalline LiInC2N4 at its relaxed geometry.

Cell: 9.5688 6.9546 5.9851 Å, 90.00 90.00 90.00°
Space group Pbcn (No. 60)
Inequivalent atoms, fractional coordinates:
Li (0.0000, 0.1141, 0.2500) [4 per cell]
In (0.0000, 0.3708, 0.7500) [4 per cell]
C (0.2448, 0.1170, 0.5800) [8 per cell]
N (0.1176, 0.1295, 0.5896) [8 per cell]
N (0.1256, 0.3985, 0.0685) [8 per cell]

* magnetic moment: 0.00 μB/atom
* mass density: 3365 kg/m3
* DFT total energy: -7.23 eV/atom
* calculated formation energy: -0.353 eV/atom
* volume: 12.45 A^3/atom